# Sm8Sb3O8 (PBE, optimized geometry)
data_Sm8Sb3O8
_chemical_formula_sum 'Sm16 Sb6 O16'
_symmetry_space_group_name_H-M 'C 1 2 1'
_symmetry_Int_Tables_number 5
_cell_length_a 13.7036
_cell_length_b 3.8677
_cell_length_c 15.4649
_cell_angle_alpha 90.00
_cell_angle_beta 107.29
_cell_angle_gamma 90.00
loop_
_symmetry_equiv_pos_as_xyz
'x,y,z'
'-x,y,-z'
'x+1/2,y+1/2,z'
'-x+1/2,y+1/2,-z'
loop_
_atom_site_label
_atom_site_type_symbol
_atom_site_fract_x
_atom_site_fract_y
_atom_site_fract_z
Sm1 Sm 0.0446 0.9998 0.3317
Sm2 Sm 0.1235 0.4998 0.1537
Sm3 Sm 0.1428 0.0000 0.9306
Sm4 Sm 0.2194 0.9978 0.5884
Sb1 Sb 0.0000 0.4642 0.5000
Sb2 Sb 0.1716 0.5014 0.7672
O1 O 0.0309 0.0000 0.1327
O2 O 0.1175 0.4978 0.2998
O3 O 0.1649 0.5002 0.0141
O4 O 0.2036 0.9961 0.4340
# DFT total energy = -7.478 eV/atom
# Energy relative to the elements = -3045 meV/atom

# Sr2TbSbO6 (PBE, optimized geometry)
data_Sr2TbSbO6
_chemical_formula_sum 'Sr8 Tb4 Sb4 O24'
_symmetry_space_group_name_H-M 'F m -3 m'
_symmetry_Int_Tables_number 225
_symmetry_space_group_name_Hall '-F 4 2 3'
_cell_length_a 8.4160
_cell_length_b 8.4160
_cell_length_c 8.4160
_cell_angle_alpha 90.00
_cell_angle_beta 90.00
_cell_angle_gamma 90.00
loop_
_atom_site_label
_atom_site_type_symbol
_atom_site_fract_x
_atom_site_fract_y
_atom_site_fract_z
Sr1 Sr 0.2500 0.2500 0.2500
Tb1 Tb 0.0000 0.0000 0.0000
Sb1 Sb 0.0000 0.0000 0.5000
O1 O 0.0000 0.0000 0.2631
# DFT total energy = -6.819 eV/atom
# Energy relative to the elements = -3049 meV/atom

# Sr2TiSbO6 (PBE, optimized geometry)
data_Sr2TiSbO6
_chemical_formula_sum 'Sr8 Ti4 Sb4 O24'
_symmetry_space_group_name_H-M 'F m -3 m'
_symmetry_Int_Tables_number 225
_symmetry_space_group_name_Hall '-F 4 2 3'
_cell_length_a 8.1489
_cell_length_b 8.1489
_cell_length_c 8.1489
_cell_angle_alpha 90.00
_cell_angle_beta 90.00
_cell_angle_gamma 90.00
loop_
_atom_site_label
_atom_site_type_symbol
_atom_site_fract_x
_atom_site_fract_y
_atom_site_fract_z
Sr1 Sr 0.2500 0.2500 0.2500
Ti1 Ti 0.0000 0.0000 0.0000
Sb1 Sb 0.0000 0.0000 0.5000
O1 O 0.0000 0.0000 0.2424
# DFT total energy = -7.011 eV/atom
# Energy relative to the elements = -2914 meV/atom

# TaSbO4 (PBE, optimized geometry)
data_TaSbO4
_chemical_formula_sum 'Ta4 Sb4 O16'
_symmetry_space_group_name_H-M 'P n n a'
_symmetry_Int_Tables_number 52
_cell_length_a 5.6304
_cell_length_b 11.9486
_cell_length_c 5.0428
_cell_angle_alpha 90.00
_cell_angle_beta 90.00
_cell_angle_gamma 90.00
loop_
_symmetry_equiv_pos_as_xyz
'x,y,z'
'-x,-y,-z'
'-x+1/2,-y,z'
'x+1/2,y,-z'
'x,-y+1/2,-z+1/2'
'-x,y+1/2,z+1/2'
'-x+1/2,y+1/2,-z+1/2'
'x+1/2,-y+1/2,z+1/2'
loop_
_atom_site_label
_atom_site_type_symbol
_atom_site_fract_x
_atom_site_fract_y
_atom_site_fract_z
Ta1 Ta 0.1283 0.2500 0.2500
Sb1 Sb 0.2500 0.0000 0.6942
O1 O 0.0827 0.0942 0.4114
O2 O 0.1467 0.6997 0.5066
# DFT total energy = -8.214 eV/atom
# Energy relative to the elements = -2709 meV/atom